1.
# Gd2P4O13 | the Materials Project | GGA-PBE | optimized geometry
data_Gd2P4O13
_cell_length_a 8.881
_cell_length_b 9.857
_cell_length_c 14.211
_cell_angle_alpha 90.00
_cell_angle_beta 105.38
_cell_angle_gamma 90.00
_symmetry_space_group_name_H-M 'P 1 21/c 1'
_symmetry_Int_Tables_number 14
loop_
_symmetry_equiv_pos_as_xyz
'x,y,z'
'-x,-y,-z'
'-x,y+1/2,-z+1/2'
'x,-y+1/2,z+1/2'
loop_
_atom_site_label
_atom_site_fract_x
_atom_site_fract_y
_atom_site_fract_z
Gd1 0.217 0.006 0.014
Gd2 0.282 0.001 0.491
P1 0.028 0.222 0.597
P2 0.110 0.246 0.313
P3 0.233 0.733 0.186
P4 0.458 0.721 0.400
O1 0.010 0.129 0.061
O2 0.070 0.695 0.211
O3 0.120 0.140 0.540
O4 0.125 0.656 0.901
O5 0.135 0.126 0.872
O6 0.136 0.224 0.708
O7 0.215 0.128 0.354
O8 0.226 0.626 0.645
O9 0.272 0.621 0.125
O10 0.357 0.730 0.288
O11 0.368 0.634 0.455
O12 0.388 0.157 0.103
O13 0.480 0.630 0.938
# Total moment = 14.00 μB per formula unit
# E_tot = -8.651 eV per atom

---

2.
# Gd2P4O13 | the Materials Project | GGA-PBE | optimized geometry
data_Gd2P4O13
_cell_length_a 8.979
_cell_length_b 9.763
_cell_length_c 14.052
_cell_angle_alpha 90.00
_cell_angle_beta 106.65
_cell_angle_gamma 90.00
_symmetry_space_group_name_H-M 'P 1 21/c 1'
_symmetry_Int_Tables_number 14
loop_
_symmetry_equiv_pos_as_xyz
'x,y,z'
'-x,-y,-z'
'-x,y+1/2,-z+1/2'
'x,-y+1/2,z+1/2'
loop_
_atom_site_label
_atom_site_fract_x
_atom_site_fract_y
_atom_site_fract_z
Gd1 0.022 0.005 0.221
Gd2 0.449 0.501 0.736
P1 0.150 0.239 0.438
P2 0.218 0.207 0.656
P3 0.288 0.733 0.347
P4 0.493 0.248 0.442
O1 0.050 0.135 0.914
O2 0.115 0.124 0.365
O3 0.122 0.131 0.712
O4 0.133 0.177 0.540
O5 0.143 0.669 0.363
O6 0.217 0.135 0.171
O7 0.252 0.636 0.781
O8 0.330 0.210 0.963
O9 0.382 0.154 0.676
O10 0.384 0.630 0.309
O11 0.396 0.706 0.952
O12 0.444 0.627 0.596
O13 0.469 0.122 0.378
# Total moment = 14.00 μB per formula unit
# E_tot = -8.658 eV per atom

---

3.
# Gd2P4O13 | the Materials Project | GGA-PBE | optimized geometry
data_Gd2P4O13
_cell_length_a 12.060
_cell_length_b 6.855
_cell_length_c 13.132
_cell_angle_alpha 90.00
_cell_angle_beta 105.87
_cell_angle_gamma 90.00
_symmetry_space_group_name_H-M 'C 1 2/c 1'
_symmetry_Int_Tables_number 15
loop_
_symmetry_equiv_pos_as_xyz
'x,y,z'
'-x,-y,-z'
'-x,y,-z+1/2'
'x,-y,z+1/2'
'x+1/2,y+1/2,z'
'-x+1/2,-y+1/2,-z'
'-x+1/2,y+1/2,-z+1/2'
'x+1/2,-y+1/2,z+1/2'
loop_
_atom_site_label
_atom_site_fract_x
_atom_site_fract_y
_atom_site_fract_z
Gd1 0.190 0.002 0.051
P1 0.011 0.354 0.865
P2 0.233 0.494 0.659
O1 0.000 0.260 0.750
O2 0.003 0.183 0.937
O3 0.097 0.496 0.654
O4 0.112 0.489 0.896
O5 0.200 0.006 0.226
O6 0.245 0.180 0.406
O7 0.250 0.174 0.905
# Total moment = 14.00 μB per formula unit
# E_tot = -8.654 eV per atom

---

4.
# GdP3O9 | the Materials Project | GGA-PBE | optimized geometry
data_GdP3O9
_cell_length_a 8.544
_cell_length_b 11.166
_cell_length_c 7.286
_cell_angle_alpha 90.00
_cell_angle_beta 90.00
_cell_angle_gamma 90.00
_symmetry_space_group_name_H-M 'C 2 2 21'
_symmetry_Int_Tables_number 20
loop_
_symmetry_equiv_pos_as_xyz
'x,y,z'
'-x,-y,z+1/2'
'x,-y,-z'
'-x,y,-z+1/2'
'x+1/2,y+1/2,z'
'-x+1/2,-y+1/2,z+1/2'
'x+1/2,-y+1/2,-z'
'-x+1/2,y+1/2,-z+1/2'
loop_
_atom_site_label
_atom_site_fract_x
_atom_site_fract_y
_atom_site_fract_z
Gd1 0.126 0.000 0.000
P1 0.011 0.323 0.456
P2 0.250 0.000 0.500
O1 0.000 0.373 0.250
O2 0.019 0.192 0.033
O3 0.138 0.390 0.953
O4 0.152 0.020 0.671
O5 0.158 0.373 0.538
# E_tot = -8.262 eV per atom

---

5.
# GdP3O9 | the Materials Project | GGA-PBE | optimized geometry
data_GdP3O9
_cell_length_a 23.194
_cell_length_b 13.709
_cell_length_c 10.244
_cell_angle_alpha 90.00
_cell_angle_beta 96.76
_cell_angle_gamma 90.00
_symmetry_space_group_name_H-M 'C 1 2/c 1'
_symmetry_Int_Tables_number 15
loop_
_symmetry_equiv_pos_as_xyz
'x,y,z'
'-x,-y,-z'
'-x,y,-z+1/2'
'x,-y,z+1/2'
'x+1/2,y+1/2,z'
'-x+1/2,-y+1/2,-z'
'-x+1/2,y+1/2,-z+1/2'
'x+1/2,-y+1/2,z+1/2'
loop_
_atom_site_label
_atom_site_fract_x
_atom_site_fract_y
_atom_site_fract_z
Gd1 0.117 0.135 0.269
Gd2 0.134 0.379 0.734
P1 0.000 0.049 0.750
P2 0.000 0.469 0.250
P3 0.040 0.318 0.448
P4 0.052 0.210 0.927
P5 0.193 0.037 0.564
P6 0.215 0.431 0.067
P7 0.245 0.295 0.290
O1 0.001 0.289 0.942
O2 0.004 0.397 0.128
O3 0.012 0.118 0.876
O4 0.050 0.235 0.359
O5 0.054 0.008 0.236
O6 0.056 0.476 0.769
O7 0.083 0.186 0.059
O8 0.085 0.247 0.821
O9 0.091 0.368 0.521
O10 0.144 0.090 0.487
O11 0.180 0.032 0.171
O12 0.183 0.401 0.938
O13 0.184 0.493 0.157
O14 0.187 0.253 0.311
O15 0.203 0.270 0.690
O16 0.225 0.019 0.955
O17 0.241 0.335 0.141
O18 0.245 0.110 0.619
# Total moment = 7.00 μB per formula unit
# E_tot = -8.276 eV per atom

---

6.
# Gd2P4O13 | the Materials Project | GGA-PBE | optimized geometry
data_Gd2P4O13
_cell_length_a 7.143
_cell_length_b 17.781
_cell_length_c 8.709
_cell_angle_alpha 90.00
_cell_angle_beta 90.00
_cell_angle_gamma 90.00
_symmetry_space_group_name_H-M 'C 2 2 21'
_symmetry_Int_Tables_number 20
loop_
_symmetry_equiv_pos_as_xyz
'x,y,z'
'-x,-y,z+1/2'
'x,-y,-z'
'-x,y,-z+1/2'
'x+1/2,y+1/2,z'
'-x+1/2,-y+1/2,z+1/2'
'x+1/2,-y+1/2,-z'
'-x+1/2,y+1/2,-z+1/2'
loop_
_atom_site_label
_atom_site_fract_x
_atom_site_fract_y
_atom_site_fract_z
Gd1 0.247 0.147 0.146
P1 0.220 0.442 0.272
P2 0.244 0.159 0.504
O1 0.000 0.438 0.250
O2 0.080 0.160 0.390
O3 0.080 0.355 0.904
O4 0.205 0.085 0.608
O5 0.222 0.022 0.206
O6 0.229 0.114 0.895
O7 0.244 0.274 0.109
# E_tot = -8.678 eV per atom

---

Number 1: ΔE to the lowest computed polymorph 0.026 eV/atom. Number 2: ΔE to the lowest computed polymorph 0.019 eV/atom. Number 3: ΔE to the lowest computed polymorph 0.024 eV/atom. Number 4: ΔE to the lowest computed polymorph 0.014 eV/atom. Number 5: ΔE to the lowest computed polymorph 0.000 eV/atom. Number 6: ΔE to the lowest computed polymorph 0.000 eV/atom.